Record 1
VASP calculation (PBE with a Hubbard U) on a relaxed Ho2MgAg2W4O16 crystal.

Cell: 7.2634 7.9016 7.7890 Å, 98.57 115.29 114.88°
Last column: nearest neighbours and their distance in Å.
Element x y z (fractional)
Ho  0.9820  0.7224  0.2665  6 O 2.24-2.41
Ho  0.0131  0.2724  0.7514  6 O 2.18-2.42
Mg  0.4535  0.5798  0.3241  5 O 2.03-2.18
Ag  0.5101  0.6385  0.7788  2 O 2.19-2.30
Ag  0.4817  0.2163  0.3650  4 O 2.27-2.49
W  0.9961  0.2290  0.2358  3 O 1.87-2.02
W  0.9901  0.7712  0.7575  3 O 1.83-1.87
W  0.4903  0.8684  0.1336  3 O 1.86-2.07
W  0.4982  0.1493  0.8434  4 O 1.83-1.99
O  0.7818  0.3616  0.1133  1 W 1.95
O  0.1902  0.6349  0.8524  2 W 2.07-2.11
O  0.2028  0.8817  0.6263  2 W 1.99-2.16
O  0.8048  0.1388  0.3810  2 W 2.10-2.11
O  0.6409  0.7091  0.1917  1 W 1.97, 1 Mg 2.07
O  0.3494  0.2897  0.7914  1 W 1.83
O  0.3482  0.7991  0.2831  1 W 1.86
O  0.6491  0.1961  0.7031  1 W 1.83
O  0.8936  0.6971  0.9337  1 W 1.85
O  0.1466  0.3262  0.0766  1 W 2.02, 1 Mg 2.03, 1 Ho 2.18
O  0.0896  0.0446  0.2833  1 W 1.87
O  0.8883  0.9448  0.7037  1 W 1.83
O  0.6494  0.9876  0.9746  3 W 2.10-2.13
O  0.3274  0.0207  0.0004  3 W 2.08-2.16
O  0.7493  0.5575  0.4975  1 W 1.87
O  0.2439  0.4990  0.4443  1 W 1.92, 1 Mg 2.04

For the theoretical density, the calculation gives 7.7 g cm⁻³. For the energy above the most stable polymorph in this dataset, the calculation gives 0.002 eV per atom. The symmetry is P1 (1). The total moment comes out at 2.00 μB per cell.



Record 2
VASP calculation (PBE with a Hubbard U) on a relaxed Li9Mn2Co5O16 crystal.

Cell: 2.9053 8.4426 11.8550 Å, 89.79 90.00 90.00°
Last column: nearest neighbours and their distance in Å.
Element x y z (fractional)
Li  0.5000  0.7457  0.8671  6 O 2.07-2.30
Li  0.5000  0.2532  0.6209  6 O 2.03-2.22
Li  0.5000  0.7485  0.3825  6 O 2.07-2.27
Li  0.0000  0.4998  0.9983  6 O 2.05-2.20
Li  0.0000  0.9984  0.7441  6 O 2.12-2.22
Li  0.0000  0.4911  0.4977  6 O 2.15-2.18
Li  0.5000  0.2549  0.1265  5 O 2.01-2.24
Li  0.0000  0.0131  0.2598  6 O 2.10-2.29
Li  0.5000  0.2487  0.3778  6 O 2.08-2.15
Mn  0.0000  0.0002  0.9975  6 O 1.97-2.20
Mn  0.5000  0.7440  0.1288  6 O 1.90-2.02
Co  0.0000  0.5036  0.7477  6 O 1.97-2.10
Co  0.0000  0.0226  0.4974  3 O 1.80-1.96
Co  0.0000  0.4715  0.2577  3 O 1.79-1.94
Co  0.5000  0.2601  0.8746  6 O 1.98-2.20
Co  0.5000  0.7515  0.6193  6 O 1.97-2.09
O  0.5000  0.0002  0.8854  2 Mn 1.97, 1 Li 2.16, 1 Co 2.20
O  0.5000  0.5046  0.6350  3 Co 1.97-2.09, 3 Li 2.13-2.18
O  0.5000  0.9970  0.3877  2 Co 1.96, 4 Li 2.10-2.13
O  0.0000  0.7413  0.0173  3 Mn 1.96-2.20, 1 Li 2.05
O  0.0000  0.2558  0.7606  3 Co 1.98-2.10, 3 Li 2.18-2.20
O  0.0000  0.7488  0.5065  2 Co 1.97, 3 Li 2.07-2.18
O  0.5000  0.5198  0.1370  1 Mn 1.90, 2 Co 2.08
O  0.0000  0.2607  0.2439  1 Co 1.79
O  0.5000  0.5002  0.8667  3 Co 2.02-2.03, 3 Li 2.07-2.13
O  0.5000  0.9903  0.6143  3 Co 2.02-2.03, 3 Li 2.12-2.22
O  0.5000  0.5009  0.3644  2 Co 1.94, 4 Li 2.10-2.15
O  0.0000  0.2544  0.9912  2 Co 2.01, 3 Li 2.07-2.16, 1 Mn 2.15
O  0.0000  0.7463  0.7425  3 Co 2.05-2.06, 3 Li 2.07-2.13
O  0.0000  0.2355  0.5025  1 Co 1.80
O  0.5000  0.9819  0.1117  3 Mn 1.99-2.02
O  0.0000  0.7556  0.2355  2 Mn 1.93

For the theoretical density, the calculation gives 4.1 g cm⁻³. For the energy above the most stable polymorph in this dataset, the calculation gives 0.081 eV per atom. The symmetry is Pm (6). The total moment comes out at 9.23 μB per cell.



Record 3
VASP calculation (PBE with a Hubbard U) on a relaxed VF5 crystal.

Cell: 5.5259 7.7485 17.4041 Å, 90.00 90.00 90.00°
Last column: nearest neighbours and their distance in Å.
Element x y z (fractional)
V  0.7500  0.4535  0.8592  4 F 1.74-1.77
V  0.2500  0.5465  0.1408  4 F 1.74-1.77
V  0.7500  0.9535  0.6408  4 F 1.74-1.77
V  0.2500  0.0465  0.3592  4 F 1.74-1.77
V  0.2500  0.1090  0.8811  4 F 1.74-1.77
V  0.7500  0.8910  0.1189  4 F 1.74-1.77
V  0.2500  0.6090  0.6189  4 F 1.74-1.77
V  0.7500  0.3910  0.3811  4 F 1.74-1.77
F  0.0174  0.3984  0.1265  1 V 1.74
F  0.5174  0.6016  0.8735  1 V 1.74
F  0.4826  0.8984  0.3735  1 V 1.74
F  0.9826  0.1016  0.6265  1 V 1.74
F  0.9826  0.6016  0.8735  1 V 1.74
F  0.4826  0.3984  0.1265  1 V 1.74
F  0.5174  0.1016  0.6265  1 V 1.74
F  0.0174  0.8984  0.3735  1 V 1.74
F  0.7500  0.2513  0.4615  1 V 1.77
F  0.2500  0.7487  0.5385  1 V 1.77
F  0.7500  0.7513  0.0385  1 V 1.77
F  0.2500  0.2487  0.9615  1 V 1.77
F  0.7500  0.4683  0.2858  1 V 1.76
F  0.2500  0.5317  0.7142  1 V 1.76
F  0.7500  0.9683  0.2142  1 V 1.76
F  0.2500  0.0317  0.7858  1 V 1.76
F  0.9826  0.5240  0.4139  1 V 1.74
F  0.4826  0.4760  0.5861  1 V 1.74
F  0.5174  0.0240  0.0861  1 V 1.74
F  0.0174  0.9760  0.9139  1 V 1.74
F  0.0174  0.4760  0.5861  1 V 1.74
F  0.5174  0.5240  0.4139  1 V 1.74
F  0.4826  0.9760  0.9139  1 V 1.74
F  0.9826  0.0240  0.0861  1 V 1.74
F  0.9997  0.2289  0.3402  2 V 2.00-2.01
F  0.4997  0.7711  0.6598  2 V 2.00-2.01
F  0.5003  0.7289  0.1598  2 V 2.00-2.01
F  0.0003  0.2711  0.8402  2 V 2.00-2.01
F  0.0003  0.7711  0.6598  2 V 2.00-2.01
F  0.5003  0.2289  0.3402  2 V 2.00-2.01
F  0.4997  0.2711  0.8402  2 V 2.00-2.01
F  0.9997  0.7289  0.1598  2 V 2.00-2.01
F  0.2500  0.1304  0.4536  1 V 1.77
F  0.7500  0.8696  0.5464  1 V 1.77
F  0.2500  0.6304  0.0464  1 V 1.77
F  0.7500  0.3696  0.9536  1 V 1.77
F  0.2500  0.0359  0.2579  1 V 1.76
F  0.7500  0.9641  0.7421  1 V 1.76
F  0.2500  0.5359  0.2421  1 V 1.76
F  0.7500  0.4641  0.7579  1 V 1.76

For the theoretical density, the calculation gives 2.6 g cm⁻³. The symmetry is Pnma (62).



Record 4
VASP calculation (PBE with a Hubbard U) on a relaxed Mn2VO4 crystal.

Cell: 6.1812 6.1812 6.1812 Å, 59.60 59.60 59.60°
Last column: nearest neighbours and their distance in Å.
Element x y z (fractional)
Mn  0.3767  0.8733  0.3767  6 O 2.06-2.20
Mn  0.7451  0.7451  0.7451  4 O 2.02-2.05
Mn  0.3767  0.3767  0.8733  6 O 2.06-2.20
Mn  0.8733  0.3767  0.3767  6 O 2.06-2.20
V  0.3787  0.3787  0.3787  6 O 1.94-2.09
V  0.0058  0.0058  0.0058  4 O 1.93-1.96
O  0.1537  0.6010  0.6010  1 V 1.94, 1 Mn 2.05
O  0.6010  0.6010  0.1537  1 V 1.94, 1 Mn 2.05
O  0.1332  0.1332  0.1332  1 V 1.93, 3 Mn 2.12
O  0.1385  0.1385  0.6157  2 V 1.96-2.09
O  0.1385  0.6157  0.1385  2 V 1.96-2.09
O  0.6157  0.1385  0.1385  2 V 1.96-2.09
O  0.6010  0.1537  0.6010  1 V 1.94, 1 Mn 2.05
O  0.6120  0.6120  0.6120  4 Mn 2.02-2.06

For the theoretical density, the calculation gives 4.5 g cm⁻³. For the energy above the most stable polymorph in this dataset, the calculation gives 0.036 eV per atom. The symmetry is R3m (160). The total moment comes out at 22.02 μB per cell.



Record 5
VASP calculation (PBE with a Hubbard U) on a relaxed KCaGdWO6 crystal.

Cell: 5.9491 5.9491 5.9491 Å, 60.00 60.00 60.00°
Last column: nearest neighbours and their distance in Å.
Element x y z (fractional)
K  0.2500  0.2500  0.2500  12 O 2.98
Ca  0.7500  0.7500  0.7500  12 O 2.98
Gd  0.0000  0.0000  0.0000  6 O 2.26
W  0.5000  0.5000  0.5000  6 O 1.95
O  0.7317  0.2683  0.2683  1 W 1.95
O  0.2683  0.7317  0.7317  1 W 1.95
O  0.7317  0.2683  0.7317  1 W 1.95
O  0.2683  0.7317  0.2683  1 W 1.95
O  0.7317  0.7317  0.2683  1 W 1.95
O  0.2683  0.2683  0.7317  1 W 1.95

For the theoretical density, the calculation gives 5.8 g cm⁻³. The symmetry is F-43m (216). The total moment comes out at 7.00 μB per cell.



no.,calculated formation energy (eV per atom)
1,-2.361
2,-1.783
3,-2.804
4,-2.164
5,-2.837